## P
Au3Br | PBE | relaxed

Summary:
- space group = P6_3/mmc

```
data_Au3Br
_cell_length_a 6.764
_cell_length_b 6.764
_cell_length_c 4.483
_cell_angle_alpha 90.00
_cell_angle_beta 90.00
_cell_angle_gamma 120.00
_space_group_name_H-M_alt 'P 1'
_space_group_IT_number 1
loop_
_space_group_symop_operation_xyz
'x,y,z'
loop_
_atom_site_label
_atom_site_fract_x
_atom_site_fract_y
_atom_site_fract_z
Au1 0.145 0.291 0.250
Au2 0.709 0.855 0.250
Au3 0.145 0.855 0.250
Au4 0.855 0.709 0.750
Au5 0.291 0.145 0.750
Au6 0.855 0.145 0.750
Br1 0.333 0.667 0.750
Br2 0.667 0.333 0.250
```

***

## Q
Au3Br | PBE | relaxed

Summary:
- space group = I4/mmm

```
data_Au3Br
_cell_length_a 5.380
_cell_length_b 5.380
_cell_length_c 5.380
_cell_angle_alpha 134.01
_cell_angle_beta 134.01
_cell_angle_gamma 67.07
_space_group_name_H-M_alt 'P 1'
_space_group_IT_number 1
loop_
_space_group_symop_operation_xyz
'x,y,z'
loop_
_atom_site_label
_atom_site_fract_x
_atom_site_fract_y
_atom_site_fract_z
Au1 0.750 0.250 0.500
Au2 0.250 0.750 0.500
Au3 0.500 0.500 0.000
Br1 0.000 0.000 0.000
```

***

Which is most stable? The ranking, best first, is P, Q.

***

## P
AuCClO | PBE | relaxed

Summary:
- space group = Cmcm

```
data_AuCClO
_cell_length_a 8.641
_cell_length_b 8.641
_cell_length_c 5.581
_cell_angle_alpha 90.00
_cell_angle_beta 90.00
_cell_angle_gamma 150.00
_space_group_name_H-M_alt 'P 1'
_space_group_IT_number 1
loop_
_space_group_symop_operation_xyz
'x,y,z'
loop_
_atom_site_label
_atom_site_fract_x
_atom_site_fract_y
_atom_site_fract_z
Au1 0.764 0.236 0.250
Au2 0.236 0.764 0.750
C1 0.879 0.121 0.250
C2 0.121 0.879 0.750
Cl1 0.372 0.628 0.750
Cl2 0.628 0.372 0.250
O1 0.947 0.053 0.250
O2 0.053 0.947 0.750
```

***

## Q
AuCClO | PBE | relaxed

Summary:
- space group = Cmcm

```
data_AuCClO
_cell_length_a 6.406
_cell_length_b 7.879
_cell_length_c 7.928
_cell_angle_alpha 90.00
_cell_angle_beta 113.83
_cell_angle_gamma 90.00
_space_group_name_H-M_alt 'P 1'
_space_group_IT_number 1
loop_
_space_group_symop_operation_xyz
'x,y,z'
loop_
_atom_site_label
_atom_site_fract_x
_atom_site_fract_y
_atom_site_fract_z
Au1 0.758 0.250 0.517
Au2 0.241 0.750 0.483
C1 0.889 0.250 0.779
C2 0.111 0.750 0.222
Cl1 0.396 0.750 0.792
Cl2 0.604 0.250 0.208
O1 0.969 0.250 0.937
O2 0.032 0.750 0.063
```

***

Which is most stable? The ranking, best first, is P, Q.

***

## P
AuC2N3 | PBE | relaxed

Summary:
- space group = C2/c

```
data_AuC2N3
_cell_length_a 9.025
_cell_length_b 12.613
_cell_length_c 6.748
_cell_angle_alpha 90.00
_cell_angle_beta 93.86
_cell_angle_gamma 45.67
_space_group_name_H-M_alt 'P 1'
_space_group_IT_number 1
loop_
_space_group_symop_operation_xyz
'x,y,z'
loop_
_atom_site_label
_atom_site_fract_x
_atom_site_fract_y
_atom_site_fract_z
Au1 0.000 0.134 0.750
Au2 0.000 0.866 0.250
Au3 0.000 0.383 0.750
Au4 0.000 0.617 0.250
C1 0.240 0.678 0.639
C2 0.760 0.918 0.861
C3 0.760 0.322 0.361
C4 0.240 0.082 0.139
C5 0.240 0.564 0.903
C6 0.760 0.804 0.597
C7 0.760 0.436 0.097
C8 0.240 0.196 0.403
N1 0.172 0.770 0.510
N2 0.828 0.942 0.990
N3 0.828 0.230 0.490
N4 0.172 0.058 0.010
N5 0.330 0.576 0.779
N6 0.670 0.906 0.721
N7 0.670 0.424 0.221
N8 0.330 0.094 0.279
N9 0.171 0.542 0.020
N10 0.829 0.713 0.480
N11 0.829 0.458 0.980
N12 0.171 0.287 0.520
```

***

## Q
AuC2N3 | PBE | relaxed

Summary:
- space group = P3_121

```
data_AuC2N3
_cell_length_a 3.930
_cell_length_b 3.930
_cell_length_c 24.480
_cell_angle_alpha 90.00
_cell_angle_beta 90.00
_cell_angle_gamma 120.00
_space_group_name_H-M_alt 'P 1'
_space_group_IT_number 1
loop_
_space_group_symop_operation_xyz
'x,y,z'
loop_
_atom_site_label
_atom_site_fract_x
_atom_site_fract_y
_atom_site_fract_z
Au1 0.000 0.256 0.667
Au2 0.256 0.000 0.333
Au3 0.744 0.744 0.000
C1 0.082 0.689 0.213
C2 0.607 0.918 0.880
C3 0.311 0.393 0.546
C4 0.918 0.607 0.120
C5 0.689 0.082 0.787
C6 0.393 0.311 0.454
N1 0.000 0.511 0.167
N2 0.511 0.000 0.833
N3 0.489 0.489 0.500
N4 0.164 0.817 0.257
N5 0.653 0.836 0.924
N6 0.183 0.347 0.591
N7 0.836 0.653 0.076
N8 0.817 0.164 0.743
N9 0.347 0.183 0.409
```

***

Which is most stable? The ranking, best first, is Q, P.

***

## P
CeSi2Au4 | PBE | relaxed

Summary:
- space group = Cmmm

```
data_CeSi2Au4
_cell_length_a 7.286
_cell_length_b 7.286
_cell_length_c 4.370
_cell_angle_alpha 90.00
_cell_angle_beta 90.00
_cell_angle_gamma 145.07
_space_group_name_H-M_alt 'P 1'
_space_group_IT_number 1
loop_
_space_group_symop_operation_xyz
'x,y,z'
loop_
_atom_site_label
_atom_site_fract_x
_atom_site_fract_y
_atom_site_fract_z
Ce1 0.000 0.000 0.000
Si1 0.584 0.416 0.500
Si2 0.416 0.584 0.500
Au1 0.174 0.826 0.500
Au2 0.326 0.674 0.000
Au3 0.826 0.174 0.500
Au4 0.674 0.326 0.000
```

***

## Q
CeSi2Au4 | PBE | relaxed

Summary:
- space group = P-4m2

```
data_CeSi2Au4
_cell_length_a 4.328
_cell_length_b 4.328
_cell_length_c 27.673
_cell_angle_alpha 90.00
_cell_angle_beta 90.00
_cell_angle_gamma 90.00
_space_group_name_H-M_alt 'P 1'
_space_group_IT_number 1
loop_
_space_group_symop_operation_xyz
'x,y,z'
loop_
_atom_site_label
_atom_site_fract_x
_atom_site_fract_y
_atom_site_fract_z
Ce1 0.000 0.500 0.748
Ce2 0.500 0.000 0.252
Ce3 0.500 0.500 0.000
Ce4 0.500 0.500 0.500
Si1 0.000 0.000 0.958
Si2 0.000 0.000 0.458
Si3 0.500 0.000 0.790
Si4 0.500 0.000 0.706
Si5 0.000 0.500 0.210
Si6 0.000 0.500 0.294
Si7 0.000 0.000 0.042
Si8 0.000 0.000 0.542
Au1 0.500 0.000 0.087
Au2 0.500 0.500 0.662
Au3 0.500 0.500 0.836
Au4 0.000 0.500 0.087
Au5 0.500 0.000 0.913
Au6 0.000 0.000 0.662
Au7 0.000 0.500 0.413
Au8 0.500 0.500 0.338
Au9 0.500 0.000 0.413
Au10 0.000 0.000 0.338
Au11 0.000 0.000 0.163
Au12 0.500 0.000 0.587
Au13 0.000 0.000 0.837
Au14 0.500 0.500 0.164
Au15 0.000 0.500 0.587
Au16 0.000 0.500 0.913
```

***

Which is most stable? The ranking, best first, is P, Q.